Arrangement i

Computed, not measured: crystalline Mg14NbSb at its relaxed geometry at the GGA-PBE level of DFT.

Unit cell a=6.335 b=6.335 c=10.191 alpha=90.00 beta=90.00 gamma=120.00
Fractional coordinates of all 16 atoms:
Sb  0.167  0.333  0.625
Mg  0.330  0.659  0.369
Mg  0.666  0.332  0.125
Nb  0.167  0.333  0.125
Mg  0.667  0.335  0.625
Mg  0.330  0.170  0.881
Mg  0.841  0.170  0.881
Mg  0.666  0.834  0.125
Mg  0.165  0.833  0.625
Mg  0.330  0.659  0.881
Mg  0.667  0.833  0.625
Mg  0.833  0.667  0.878
Mg  0.841  0.170  0.369
Mg  0.330  0.170  0.369
Mg  0.833  0.667  0.372
Mg  0.168  0.834  0.125

Values from the calculation:
**M_tot**: 0.0 Bohr magnetons per cell
**Symmetry**: P-6m2, No. 187

***

Arrangement ii

Computed, not measured: crystalline Mg14NbSb at its relaxed geometry at the GGA-PBE level of DFT.

Unit cell a=6.334 b=6.235 c=10.278 alpha=90.00 beta=90.00 gamma=119.48
Fractional coordinates of all 16 atoms:
Mg  0.332  0.171  0.877
Mg  0.666  0.833  0.625
Mg  0.332  0.661  0.373
Mg  0.668  0.836  0.125
Mg  0.332  0.661  0.877
Mg  0.840  0.170  0.372
Mg  0.167  0.833  0.625
Mg  0.166  0.333  0.625
Sb  0.160  0.830  0.125
Mg  0.831  0.666  0.378
Nb  0.170  0.335  0.125
Mg  0.840  0.170  0.878
Mg  0.668  0.332  0.125
Mg  0.831  0.666  0.872
Mg  0.332  0.171  0.373
Mg  0.666  0.333  0.625

Values from the calculation:
**M_tot**: 0.6 Bohr magnetons per cell
**Symmetry**: Amm2, No. 38

***

What are the relative energies? In meV/atom: arrangement i 0; arrangement ii 9.

***

Arrangement i

Computed, not measured: crystalline Mg14TiNb at its relaxed geometry at the GGA-PBE level of DFT.

Unit cell a=6.345 b=6.345 c=9.993 alpha=90.00 beta=90.00 gamma=120.00
Fractional coordinates of all 16 atoms:
Mg  0.169  0.834  0.125
Mg  0.328  0.172  0.873
Mg  0.666  0.331  0.125
Mg  0.665  0.331  0.625
Nb  0.167  0.333  0.625
Mg  0.843  0.172  0.873
Mg  0.833  0.667  0.375
Mg  0.169  0.835  0.625
Ti  0.167  0.333  0.125
Mg  0.843  0.172  0.377
Mg  0.328  0.172  0.377
Mg  0.833  0.667  0.875
Mg  0.328  0.657  0.873
Mg  0.665  0.835  0.625
Mg  0.328  0.657  0.377
Mg  0.666  0.834  0.125

Values from the calculation:
**M_tot**: 1.9 Bohr magnetons per cell
**Symmetry**: P-6m2, No. 187

***

Arrangement ii

Computed, not measured: crystalline Mg14TiNb at its relaxed geometry at the GGA-PBE level of DFT.

Unit cell a=6.355 b=6.173 c=10.101 alpha=90.00 beta=90.00 gamma=119.05
Fractional coordinates of all 16 atoms:
Mg  0.329  0.667  0.883
Mg  0.166  0.833  0.625
Mg  0.843  0.672  0.369
Mg  0.167  0.333  0.625
Mg  0.663  0.831  0.125
Ti  0.165  0.333  0.125
Mg  0.841  0.170  0.371
Mg  0.329  0.162  0.367
Mg  0.329  0.162  0.883
Mg  0.329  0.667  0.367
Nb  0.162  0.831  0.125
Mg  0.663  0.332  0.125
Mg  0.843  0.672  0.881
Mg  0.665  0.333  0.625
Mg  0.665  0.832  0.625
Mg  0.841  0.170  0.879

Values from the calculation:
**M_tot**: 1.3 Bohr magnetons per cell
**Symmetry**: Amm2, No. 38

***

What are the relative energies? In meV/atom: arrangement i 35; arrangement ii 0.

***

Arrangement i

Computed, not measured: crystalline Mg14NbW at its relaxed geometry at the GGA-PBE level of DFT.

Unit cell a=6.309 b=6.071 c=10.064 alpha=90.00 beta=90.00 gamma=118.76
Fractional coordinates of all 16 atoms:
Mg  0.661  0.832  0.125
Nb  0.157  0.328  0.125
Mg  0.847  0.174  0.372
Mg  0.661  0.329  0.125
Mg  0.663  0.831  0.625
Mg  0.851  0.675  0.365
Mg  0.165  0.833  0.625
Mg  0.328  0.666  0.886
Mg  0.167  0.333  0.625
Mg  0.851  0.675  0.885
Mg  0.847  0.174  0.878
Mg  0.663  0.333  0.625
W  0.157  0.829  0.125
Mg  0.328  0.161  0.364
Mg  0.328  0.161  0.886
Mg  0.328  0.666  0.364

Values from the calculation:
**M_tot**: 0.0 Bohr magnetons per cell
**Symmetry**: Amm2, No. 38

***

Arrangement ii

Computed, not measured: crystalline Mg14NbW at its relaxed geometry at the GGA-PBE level of DFT.

Unit cell a=6.271 b=6.271 c=9.918 alpha=90.00 beta=90.00 gamma=120.00
Fractional coordinates of all 16 atoms:
Mg  0.325  0.175  0.871
Mg  0.666  0.834  0.625
Mg  0.171  0.835  0.125
Mg  0.833  0.667  0.877
Nb  0.167  0.333  0.125
Mg  0.665  0.835  0.125
Mg  0.325  0.650  0.871
Mg  0.325  0.650  0.379
Mg  0.168  0.834  0.625
W  0.167  0.333  0.625
Mg  0.325  0.175  0.379
Mg  0.850  0.175  0.871
Mg  0.666  0.332  0.625
Mg  0.833  0.667  0.373
Mg  0.665  0.329  0.125
Mg  0.850  0.175  0.379

Values from the calculation:
**M_tot**: 1.6 Bohr magnetons per cell
**Symmetry**: P-6m2, No. 187

***

What are the relative energies? In meV/atom: arrangement i 0; arrangement ii 62.

***

Arrangement i

Computed, not measured: crystalline Mg6NbZn at its relaxed geometry at the GGA-PBE level of DFT.

Unit cell a=4.854 b=6.226 c=10.823 alpha=90.00 beta=90.00 gamma=90.00
Fractional coordinates of all 16 atoms:
Mg  0.500  0.744  0.418
Mg  0.000  0.500  0.832
Mg  0.000  0.000  0.332
Mg  0.500  0.244  0.918
Mg  0.500  0.000  0.167
Zn  0.000  0.000  0.817
Mg  0.000  0.241  0.588
Mg  0.500  0.500  0.667
Mg  0.500  0.756  0.918
Mg  0.000  0.759  0.588
Mg  0.500  0.256  0.418
Nb  0.500  0.500  0.173
Zn  0.000  0.500  0.317
Mg  0.000  0.741  0.088
Mg  0.000  0.259  0.088
Nb  0.500  0.000  0.673

Values from the calculation:
**M_tot**: 0.0 Bohr magnetons per cell

***

Arrangement ii

Computed, not measured: crystalline Mg6NbZn at its relaxed geometry at the GGA-PBE level of DFT.

Unit cell a=4.909 b=6.093 c=10.873 alpha=90.00 beta=90.00 gamma=90.00
Fractional coordinates of all 16 atoms:
Mg  0.000  0.500  0.326
Zn  0.500  0.000  0.165
Mg  0.000  0.256  0.086
Mg  0.000  0.244  0.586
Mg  0.000  0.000  0.826
Mg  0.500  0.247  0.919
Mg  0.000  0.756  0.586
Nb  0.500  0.000  0.670
Nb  0.500  0.500  0.170
Mg  0.500  0.253  0.419
Zn  0.500  0.500  0.665
Mg  0.000  0.000  0.328
Mg  0.500  0.753  0.919
Mg  0.500  0.747  0.419
Mg  0.000  0.744  0.086
Mg  0.000  0.500  0.828

Values from the calculation:
**M_tot**: 0.0 Bohr magnetons per cell

***

What are the relative energies? In meV/atom: arrangement i 0; arrangement ii 11.

***

Arrangement i

Computed, not measured: crystalline Nd4MgRh4O12 at its relaxed geometry at the GGA-PBE level of DFT.

Unit cell a=5.508 b=6.442 c=7.547 alpha=90.00 beta=90.00 gamma=86.81
Fractional coordinates of all 21 atoms:
Rh  0.504  0.001  0.000
O  0.136  0.547  0.250
O  0.812  0.170  0.447
O  0.334  0.308  0.550
O  0.851  0.462  0.750
Rh  0.996  0.488  0.487
O  0.668  0.687  0.044
O  0.364  0.056  0.250
O  0.650  0.949  0.750
O  0.174  0.829  0.565
O  0.668  0.687  0.456
Nd  0.060  0.145  0.750
Mg  0.924  0.752  0.750
O  0.812  0.170  0.053
Rh  0.504  0.001  0.500
Nd  0.443  0.586  0.750
Nd  0.982  0.909  0.250
Rh  0.996  0.488  0.013
O  0.174  0.829  0.935
Nd  0.540  0.401  0.250
O  0.334  0.308  0.950

Values from the calculation:
**M_tot**: 2.0 Bohr magnetons per cell
**Symmetry**: Pm, No. 6

***

Arrangement ii

Computed, not measured: crystalline Nd4MgRh4O12 at its relaxed geometry at the GGA-PBE level of DFT.

Unit cell a=6.221 b=6.419 c=7.573 alpha=90.00 beta=90.00 gamma=107.43
Fractional coordinates of all 21 atoms:
O  0.624  0.759  0.064
Nd  0.552  0.561  0.750
O  0.604  0.947  0.750
O  0.111  0.525  0.250
Nd  0.449  0.459  0.250
Nd  0.049  0.086  0.750
Rh  0.487  0.011  0.524
O  0.403  0.080  0.250
Rh  0.994  0.495  0.992
O  0.148  0.829  0.548
O  0.359  0.281  0.560
O  0.883  0.464  0.750
Rh  0.994  0.495  0.508
Mg  0.693  0.020  0.250
O  0.838  0.174  0.032
O  0.624  0.759  0.436
Nd  0.044  0.853  0.250
O  0.838  0.174  0.468
O  0.359  0.281  0.940
Rh  0.487  0.011  0.976
O  0.148  0.829  0.952

Values from the calculation:
**M_tot**: 1.9 Bohr magnetons per cell
**Symmetry**: Pm, No. 6

***

What are the relative energies? In meV/atom: arrangement i 0; arrangement ii 81.

***

Arrangement i

Computed, not measured: crystalline Nd2MgTi2S2O5 at its relaxed geometry at the GGA-PBE level of DFT.

Unit cell a=3.975 b=3.975 c=11.685 alpha=99.79 beta=99.79 gamma=90.00
Fractional coordinates of all 12 atoms:
S  0.797  0.797  0.594
Mg  0.500  0.500  0.000
Ti  0.916  0.916  0.832
Nd  0.666  0.666  0.331
O  0.094  0.594  0.188
O  0.594  0.094  0.188
O  0.406  0.906  0.812
Ti  0.084  0.084  0.168
Nd  0.334  0.334  0.669
O  0.906  0.406  0.812
S  0.203  0.203  0.406
O  0.000  0.000  0.000

Values from the calculation:
**M_tot**: 1.3 Bohr magnetons per cell
**Symmetry**: I4/mmm, No. 139

***

Arrangement ii

Computed, not measured: crystalline Nd2MgTi2S2O5 at its relaxed geometry at the GGA-PBE level of DFT.

Unit cell a=3.867 b=3.867 c=14.269 alpha=97.79 beta=97.79 gamma=90.00
Fractional coordinates of all 12 atoms:
O  0.000  0.000  0.000
S  0.807  0.807  0.613
Ti  0.935  0.935  0.870
O  0.089  0.589  0.178
O  0.590  0.090  0.179
Mg  0.750  0.250  0.500
Ti  0.065  0.065  0.130
O  0.910  0.410  0.821
O  0.411  0.911  0.822
S  0.193  0.193  0.387
Nd  0.363  0.363  0.727
Nd  0.637  0.637  0.273

Values from the calculation:
**M_tot**: 1.8 Bohr magnetons per cell
**Symmetry**: I-4m2, No. 119

***

What are the relative energies? In meV/atom: arrangement i 65; arrangement ii 0.

***

Arrangement i

Computed, not measured: crystalline Nd4MgTa4Ti4O24 at its relaxed geometry at the GGA-PBE level of DFT.

Unit cell a=5.348 b=7.701 c=11.398 alpha=90.07 beta=92.31 gamma=90.24
Fractional coordinates of all 37 atoms:
O  0.439  0.748  0.361
O  0.157  0.753  0.127
Ta  0.451  0.504  0.648
Ti  0.044  0.998  0.140
O  0.124  0.447  0.712
O  0.728  0.957  0.526
O  0.925  0.252  0.125
O  0.129  0.049  0.707
O  0.622  0.947  0.792
O  0.251  0.033  0.476
O  0.640  0.249  0.398
O  0.781  0.964  0.015
O  0.380  0.072  0.217
Ti  0.519  0.504  0.381
O  0.345  0.749  0.620
O  0.246  0.464  0.482
O  0.066  0.748  0.853
O  0.860  0.531  0.281
O  0.541  0.251  0.646
Nd  0.467  0.750  0.960
Nd  0.034  0.748  0.459
O  0.621  0.552  0.797
Ti  0.455  0.991  0.642
Nd  0.950  0.246  0.556
Ta  0.057  0.513  0.142
Ta  0.972  0.995  0.852
O  0.241  0.469  0.979
O  0.887  0.249  0.863
O  0.858  0.962  0.284
O  0.725  0.541  0.530
O  0.245  0.032  0.973
Ta  0.527  0.994  0.368
Ti  0.972  0.500  0.858
Mg  0.667  0.272  0.233
Nd  0.556  0.251  0.977
O  0.778  0.537  0.018
O  0.376  0.436  0.218

Values from the calculation:
**M_tot**: 2.0 Bohr magnetons per cell
**Symmetry**: P1, No. 1

***

Arrangement ii

Computed, not measured: crystalline Nd4MgTa4Ti4O24 at its relaxed geometry at the GGA-PBE level of DFT.

Unit cell a=5.343 b=7.613 c=11.308 alpha=90.20 beta=90.56 gamma=90.19
Fractional coordinates of all 37 atoms:
O  0.758  0.539  0.027
O  0.333  0.752  0.612
O  0.952  0.251  0.146
O  0.255  0.448  0.471
Ta  0.953  0.006  0.859
Ti  0.456  0.992  0.644
O  0.528  0.250  0.643
O  0.124  0.050  0.714
O  0.233  0.462  0.979
Nd  0.545  0.249  0.048
O  0.839  0.250  0.880
Nd  0.944  0.248  0.572
O  0.468  0.751  0.359
O  0.730  0.539  0.527
O  0.359  0.429  0.224
O  0.040  0.750  0.862
Mg  0.101  0.241  0.315
O  0.726  0.248  0.381
O  0.882  0.945  0.283
O  0.761  0.962  0.023
O  0.365  0.073  0.221
O  0.236  0.039  0.975
Nd  0.456  0.748  0.948
O  0.884  0.555  0.286
Ta  0.048  0.517  0.136
O  0.619  0.940  0.786
Ta  0.560  0.002  0.361
O  0.179  0.753  0.121
Nd  0.047  0.747  0.449
O  0.620  0.558  0.786
O  0.249  0.060  0.458
Ti  0.953  0.495  0.859
O  0.726  0.961  0.525
Ta  0.448  0.508  0.641
O  0.119  0.449  0.716
Ti  0.559  0.494  0.365
Ti  0.045  0.988  0.131

Values from the calculation:
**M_tot**: 2.0 Bohr magnetons per cell
**Symmetry**: P1, No. 1

***

What are the relative energies? In meV/atom: arrangement i 48; arrangement ii 0.